1.
4
Lattice="5.159 0.000 0.000 0.000 5.159 0.000 0.000 0.000 5.159" Properties=species:S:1:pos:R:3 comment="Nd3Ho (GGA-PBE, optimized geometry)" e_form_ev_per_atom=0.01 vol_a3_per_fu=137 density_g_cm3=7.2 pbc="T T T"
Nd 0.000 0.000 2.580
Nd 0.000 2.580 0.000
Nd 2.580 0.000 0.000
Ho 2.580 2.580 2.580

2.
15
Lattice="-3.473 3.482 5.454 3.473 -3.482 5.454 3.473 3.482 -5.454" Properties=species:S:1:pos:R:3 comment="MgV4Cu2S8 (GGA-PBE, optimized geometry)" magmom_total_mub_per_cell=8.0 e_form_ev_per_atom=-1.00 vol_a3_per_fu=264 density_g_cm3=3.8 pbc="T T T"
Mg 0.000 0.000 0.000
V 3.473 1.872 -1.122
V 1.907 0.000 2.275
V 5.040 0.000 2.275
V 0.000 1.610 4.332
Cu 0.000 3.482 0.661
Cu 0.000 0.000 8.109
S 3.473 1.572 1.430
S 0.000 1.563 1.907
S 1.710 3.482 -0.888
S 1.763 0.000 4.567
S -1.555 3.482 4.113
S 1.555 3.482 4.113
S 0.000 1.911 6.885
S 0.000 5.402 1.907

3.
30
Lattice="-4.455 9.212 4.916 4.455 -9.212 4.916 4.455 9.212 -4.916" Properties=species:S:1:pos:R:3 comment="K4EuP2S8 (GGA-PBE, optimized geometry)" magmom_total_mub_per_cell=14.0 e_form_ev_per_atom=-1.34 vol_a3_per_fu=404 density_g_cm3=2.6 pbc="T T T"
K 4.455 4.722 -2.458
K 5.525 1.515 0.000
K 1.070 7.697 0.000
K 0.000 4.490 2.458
K 4.455 4.722 2.458
K 3.386 1.515 4.916
K -1.070 7.697 4.916
K 0.000 4.490 7.374
Eu 0.000 0.000 2.458
Eu 0.000 0.000 7.374
P 1.832 2.358 0.000
P 1.832 -2.358 4.916
P 2.623 11.570 0.000
P 2.623 6.854 4.916
S 6.256 -1.489 1.652
S 4.239 -7.268 4.916
S 2.179 4.378 0.000
S 2.654 1.489 1.652
S 2.654 -1.489 3.264
S 2.179 -4.378 4.916
S 4.239 7.268 0.000
S 1.801 10.701 -1.652
S 2.654 -1.489 6.568
S 0.217 1.944 4.916
S 2.276 13.590 0.000
S 1.801 10.701 1.652
S 1.801 7.723 3.264
S 2.276 4.834 4.916
S 0.217 16.480 0.000
S -1.801 10.701 3.264

4.
86
Lattice="8.491 -4.921 0.000 8.491 4.921 0.000 -0.070 0.000 14.349" Properties=species:S:1:pos:R:3 comment="Li3Sb3P8O29 (GGA-PBE, optimized geometry)" magmom_total_mub_per_cell=0.0 e_form_ev_per_atom=-2.43 vol_a3_per_fu=600 density_g_cm3=3.0 pbc="T T T"
Li 8.457 4.490 7.175
Li 10.210 2.849 13.564
Li 14.013 0.611 6.381
Li 13.978 -0.611 13.556
Li 10.245 -2.849 6.390
Li 8.491 -4.490 0.000
Sb 11.988 2.794 10.663
Sb 8.303 0.616 3.546
Sb 13.120 2.178 3.546
Sb 8.268 -0.616 10.721
Sb 12.022 -2.794 3.489
Sb 13.086 -2.178 10.721
P 2.364 0.671 12.045
P 6.438 2.995 4.813
P 2.399 -0.671 4.870
P 7.601 2.325 12.033
P 8.981 2.320 9.337
P 10.220 2.968 2.210
P 5.502 0.002 1.784
P 5.467 -0.002 8.959
P 11.124 0.016 12.461
P 11.159 -0.016 5.286
P 6.403 -2.995 11.987
P 7.635 -2.325 4.858
P 9.015 -2.320 2.162
P 14.138 0.668 9.356
P 14.173 -0.668 2.181
P 10.186 -2.968 9.385
O 1.618 0.955 10.638
O 6.595 3.801 3.417
O 2.692 0.880 4.828
O 6.122 2.869 12.042
O 3.735 1.427 11.968
O 5.098 2.200 4.727
O 4.172 0.600 2.430
O 5.588 1.446 9.621
O 10.030 3.953 6.024
O 1.652 -0.955 3.464
O 8.239 2.864 10.672
O 8.300 2.873 8.158
O 8.345 2.864 13.192
O 10.147 3.724 0.937
O 7.616 1.985 4.828
O 2.657 -0.880 12.003
O 4.138 -0.600 9.604
O 6.676 0.838 2.444
O 5.500 0.003 0.315
O 5.465 -0.003 7.489
O 9.010 2.007 2.335
O 10.443 2.859 9.436
O 3.769 -1.427 4.794
O 7.524 0.770 11.948
O 9.013 0.762 9.469
O 11.529 2.120 2.364
O 5.623 -1.446 2.446
O 6.641 -0.838 9.619
O 11.032 1.490 11.862
O 9.987 0.780 4.613
O 5.063 -2.200 11.901
O 7.558 -0.770 4.773
O 9.048 -0.762 2.295
O 12.746 1.364 9.515
O 7.581 -1.985 12.002
O 11.152 0.076 13.938
O 6.157 -2.869 4.868
O 11.186 -0.076 6.764
O 9.952 -0.780 11.787
O 12.503 0.654 4.738
O 8.975 -2.007 9.509
O 13.956 0.865 2.329
O 6.560 -3.801 10.591
O 14.820 0.967 8.074
O 8.274 -2.864 3.497
O 8.335 -2.873 0.983
O 8.379 -2.864 6.018
O 14.972 0.966 13.119
O 11.066 -1.490 4.687
O 12.468 -0.654 11.912
O 12.780 -1.364 2.341
O 11.494 -2.120 9.539
O 10.478 -2.859 2.261
O 13.922 -0.865 9.503
O 14.855 -0.967 0.900
O 10.112 -3.724 8.112
O 15.007 -0.966 5.944
O 9.995 -3.953 13.199

5.
24
Lattice="7.182 0.000 0.000 0.000 6.280 0.000 -2.681 0.000 6.680" Properties=species:S:1:pos:R:3 comment="Ho3ReO8 (GGA-PBE, optimized geometry)" magmom_total_mub_per_cell=0.0 e_form_ev_per_atom=-3.30 vol_a3_per_fu=151 density_g_cm3=8.9 pbc="T T T"
Ho -0.408 1.570 2.712
Ho -1.159 1.570 5.960
Ho 1.035 4.710 4.427
Ho 3.466 1.570 2.253
Ho 5.660 4.710 0.720
Ho 4.909 4.710 3.968
Re 1.802 4.710 1.183
Re 2.699 1.570 5.497
O -2.070 4.710 6.382
O 0.187 4.710 2.270
O -0.560 0.001 4.473
O -0.560 3.140 4.473
O 1.750 0.318 1.256
O 1.750 2.822 1.256
O 1.752 1.570 3.839
O 3.319 4.710 0.134
O 1.183 1.570 6.546
O 2.749 4.710 2.841
O 2.751 3.458 5.424
O 2.751 5.963 5.424
O 5.061 6.280 2.207
O 5.061 3.141 2.207
O 4.314 1.570 4.410
O 6.572 1.570 0.298

6.
40
Lattice="8.859 0.000 0.000 -2.948 8.377 0.000 -2.973 -4.172 7.257" Properties=species:S:1:pos:R:3 comment="Zr2N2O (GGA-PBE, optimized geometry)" e_form_ev_per_atom=-2.19 vol_a3_per_fu=67 density_g_cm3=5.6 pbc="T T T"
Zr 0.000 0.000 0.000
Zr -2.970 2.063 3.675
Zr -2.531 -1.344 5.429
Zr -2.922 1.688 6.920
Zr -2.804 5.103 5.247
Zr 0.311 2.961 1.468
Zr 0.427 0.147 3.364
Zr 0.040 3.118 4.924
Zr 0.371 -0.321 6.637
Zr 0.526 5.993 3.074
Zr 3.351 0.763 1.742
Zr 2.994 -2.585 6.958
Zr 3.169 7.155 1.525
Zr 3.204 1.006 5.157
Zr 3.338 4.341 3.409
Zr 5.945 5.314 1.255
N -4.909 4.816 5.407
N -3.506 7.240 1.876
N -0.405 -1.220 4.831
N -2.084 3.002 5.437
N 1.261 1.043 1.494
N -1.671 -0.122 7.183
N 0.982 7.092 1.230
N 0.761 -2.440 7.138
N 0.985 1.232 5.210
N 1.227 3.918 3.273
N 0.798 3.786 6.816
N 3.703 2.173 3.409
N 5.492 -1.957 3.488
N 5.345 0.566 5.051
N 5.048 -2.055 7.088
N 3.801 2.204 6.817
O -3.225 4.255 3.158
O -0.852 1.914 3.146
O -0.852 4.924 1.637
O -0.543 5.398 4.907
O 2.524 -0.470 3.554
O 3.731 5.043 1.280
O 2.635 -0.359 6.909
O 5.690 0.931 1.792

7.
24
Lattice="3.125 -7.524 0.000 3.125 7.524 0.000 -2.404 0.000 5.071" Properties=species:S:1:pos:R:3 comment="YPH4O6 (GGA-PBE, optimized geometry)" magmom_total_mub_per_cell=0.0 e_form_ev_per_atom=-2.36 vol_a3_per_fu=119 density_g_cm3=3.1 pbc="T T T"
Y 1.322 4.936 3.803
Y 2.524 -4.936 1.268
P 2.524 2.523 1.268
P 1.322 -2.523 3.803
H -0.335 1.262 3.828
H 0.123 0.036 2.906
H 1.325 -0.036 0.370
H 0.867 -1.262 1.293
H 2.978 1.262 3.778
H 2.520 0.036 4.701
H 3.722 -0.036 2.166
H 4.180 -1.262 1.243
O -0.068 1.011 2.904
O 1.557 1.675 0.394
O 1.569 3.407 2.118
O 1.134 -1.011 0.368
O 3.478 3.407 0.418
O 0.355 -1.675 2.930
O 3.490 1.675 2.141
O 0.367 -3.407 4.653
O 2.711 1.011 4.703
O 2.276 -3.407 2.954
O 2.288 -1.675 4.677
O 3.913 -1.011 2.167

8.
86
Lattice="6.935 0.000 0.000 0.000 12.960 0.000 -2.441 0.000 14.530" Properties=species:S:1:pos:R:3 comment="La13B4O26 (GGA-PBE, optimized geometry)" magmom_total_mub_per_cell=2.0 e_form_ev_per_atom=-3.67 vol_a3_per_fu=653 density_g_cm3=5.8 pbc="T T T"
La 0.000 0.000 0.000
La -1.221 6.480 7.265
La -0.116 2.746 2.919
La -1.337 3.734 10.184
La -0.124 2.504 6.835
La -1.344 3.976 14.100
La -0.042 0.018 9.702
La 1.178 6.462 2.438
La -0.046 7.932 13.685
La 1.174 11.508 6.420
La 1.003 9.058 9.581
La 2.224 10.382 2.316
La 2.368 7.902 5.977
La 1.148 11.538 13.242
La 3.346 1.422 1.288
La 2.126 5.058 8.552
La 2.270 2.578 12.214
La 3.491 3.902 4.949
La 3.320 1.452 8.110
La 4.540 5.028 0.845
La 3.316 6.498 12.092
La 4.536 12.942 4.827
La 5.838 8.984 0.430
La 4.618 10.456 7.695
La 5.831 9.226 4.346
La 4.610 10.213 11.611
B -1.096 1.234 12.171
B 0.124 5.246 4.906
B 1.545 0.658 4.215
B 0.324 5.822 11.479
B 4.170 7.138 3.050
B 2.949 12.302 10.315
B 4.370 7.714 9.624
B 5.590 11.726 2.359
O -1.466 8.388 9.131
O -0.245 11.052 1.866
O -1.305 1.796 8.806
O -0.084 4.684 1.542
O 0.274 0.894 4.751
O -0.946 5.586 12.016
O 0.254 6.627 5.046
O -0.966 12.813 12.311
O 0.955 2.001 1.019
O -0.266 4.479 8.284
O 1.106 8.504 1.307
O -0.114 10.936 8.572
O -0.111 1.949 11.489
O 1.109 4.531 4.224
O 1.149 9.566 4.653
O -0.072 9.874 11.918
O 1.020 0.599 7.746
O 2.240 5.881 0.481
O 1.056 7.175 7.967
O 2.277 12.264 0.702
O 0.886 7.091 11.430
O 2.106 12.348 4.166
O 2.294 1.723 3.737
O 1.074 4.757 11.002
O 0.951 3.228 14.269
O 2.172 3.252 7.004
O 2.322 9.707 7.525
O 3.543 9.732 0.260
O 3.420 8.203 3.528
O 2.200 11.237 10.792
O 2.388 0.611 10.364
O 3.608 5.869 3.099
O 2.217 0.695 13.828
O 3.438 5.785 6.563
O 2.254 7.078 14.049
O 3.474 12.361 6.784
O 4.566 3.086 2.611
O 3.345 3.394 9.876
O 3.385 8.429 10.306
O 4.605 11.011 3.041
O 4.608 2.024 5.958
O 3.388 4.456 13.223
O 4.760 8.481 6.246
O 3.539 10.959 13.511
O 5.460 0.147 2.219
O 4.240 6.333 9.484
O 5.440 7.374 2.514
O 4.220 12.066 9.779
O 4.578 8.276 12.988
O 5.799 11.164 5.723
O 4.739 1.908 12.663
O 5.960 4.572 5.399

9.
9
Lattice="3.662 0.000 0.000 0.000 6.505 3.740 0.000 -6.505 3.740" Properties=species:S:1:pos:R:3 comment="TmInNi (GGA-PBE, optimized geometry)" magmom_total_mub_per_cell=0.0 e_form_ev_per_atom=-0.50 vol_a3_per_fu=59 density_g_cm3=9.6 pbc="T T T"
Tm 0.000 0.000 0.000
Tm 0.000 -2.671 2.881
Tm 0.000 2.671 2.881
In 1.831 0.000 2.485
In 1.831 -1.677 5.377
In 1.831 1.677 5.377
Ni 0.000 0.000 4.411
Ni 1.831 -4.338 4.415
Ni 1.831 4.338 4.415

10.
30
Lattice="0.000 6.698 6.698 6.698 0.000 6.698 6.698 6.698 0.000" Properties=species:S:1:pos:R:3 comment="Sc11Ru4 (GGA-PBE, optimized geometry)" e_form_ev_per_atom=-0.40 vol_a3_per_fu=301 density_g_cm3=5.0 pbc="T T T"
Sc 8.259 5.137 5.137
Sc 2.103 2.103 2.103
Sc 4.595 4.595 2.103
Sc 4.595 2.103 4.595
Sc 6.698 6.698 2.652
Sc 6.698 2.652 6.698
Sc 10.745 6.698 6.698
Sc 5.137 5.137 5.137
Sc 8.259 8.259 5.137
Sc 8.259 5.137 8.259
Sc 11.293 8.801 8.801
Sc 2.103 4.595 4.595
Sc 5.137 8.259 5.137
Sc 5.137 5.137 8.259
Sc 8.259 8.259 8.259
Sc 2.652 6.698 6.698
Sc 6.698 10.745 6.698
Sc 6.698 6.698 10.745
Sc 8.801 11.293 8.801
Sc 8.801 8.801 11.293
Sc 11.293 11.293 11.293
Sc 5.137 8.259 8.259
Ru 0.000 0.000 0.000
Ru 3.349 3.349 0.000
Ru 3.349 0.000 3.349
Ru 6.698 3.349 3.349
Ru 0.000 3.349 3.349
Ru 3.349 6.698 3.349
Ru 3.349 3.349 6.698
Ru 6.698 6.698 6.698